[1]
# Cr3N2O10

An optimized crystal structure of Cr3N2O10 (PBE with a Hubbard U, Materials Project).

Calculated values
symmetry: P6_3/m
energy of formation: -326.3 meV per atom
E: -87.1 eV per formula unit
size of the total moment: 11.35 μB per cell

Cell and atoms, written as CIF:
```
data_Cr3N2O10
_space_group_name_H-M_alt 'P 1'
_space_group_IT_number 1
_space_group_name_Hall 'P 1'
_cell_length_a 12.619
_cell_length_b 12.619
_cell_length_c 13.403
_cell_angle_alpha 90.00
_cell_angle_beta 90.00
_cell_angle_gamma 120.00
loop_
_atom_site_label
_atom_site_type_symbol
_atom_site_fract_x
_atom_site_fract_y
_atom_site_fract_z
_atom_site_occupancy
Cr1 Cr 0.051 0.369 0.077 1
Cr2 Cr 0.051 0.369 0.423 1
Cr3 Cr 0.160 0.761 0.750 1
Cr4 Cr 0.239 0.399 0.750 1
Cr5 Cr 0.318 0.949 0.077 1
Cr6 Cr 0.318 0.949 0.423 1
Cr7 Cr 0.369 0.318 0.577 1
Cr8 Cr 0.369 0.318 0.923 1
Cr9 Cr 0.399 0.160 0.250 1
Cr10 Cr 0.601 0.840 0.750 1
Cr11 Cr 0.631 0.682 0.077 1
Cr12 Cr 0.631 0.682 0.423 1
Cr13 Cr 0.682 0.051 0.577 1
Cr14 Cr 0.682 0.051 0.923 1
Cr15 Cr 0.761 0.601 0.250 1
Cr16 Cr 0.840 0.239 0.250 1
Cr17 Cr 0.949 0.631 0.577 1
Cr18 Cr 0.949 0.631 0.923 1
N1 N 0.000 0.000 0.000 1
N2 N 0.000 0.000 0.500 1
N3 N 0.099 0.671 0.250 1
N4 N 0.329 0.427 0.250 1
N5 N 0.333 0.667 0.553 1
N6 N 0.333 0.667 0.947 1
N7 N 0.427 0.099 0.750 1
N8 N 0.573 0.901 0.250 1
N9 N 0.667 0.333 0.053 1
N10 N 0.667 0.333 0.447 1
N11 N 0.671 0.573 0.750 1
N12 N 0.901 0.329 0.750 1
O1 O 0.039 0.390 0.542 1
O2 O 0.039 0.390 0.958 1
O3 O 0.088 0.673 0.642 1
O4 O 0.088 0.673 0.858 1
O5 O 0.091 0.265 0.088 1
O6 O 0.091 0.265 0.412 1
O7 O 0.121 0.265 0.750 1
O8 O 0.145 0.879 0.750 1
O9 O 0.163 0.497 0.121 1
O10 O 0.163 0.497 0.379 1
O11 O 0.174 0.909 0.088 1
O12 O 0.174 0.909 0.412 1
O13 O 0.200 0.501 0.750 1
O14 O 0.265 0.145 0.250 1
O15 O 0.265 0.174 0.588 1
O16 O 0.265 0.174 0.912 1
O17 O 0.301 0.800 0.750 1
O18 O 0.327 0.414 0.642 1
O19 O 0.327 0.414 0.858 1
O20 O 0.334 0.837 0.121 1
O21 O 0.334 0.837 0.379 1
O22 O 0.352 0.961 0.542 1
O23 O 0.352 0.961 0.958 1
O24 O 0.390 0.352 0.042 1
O25 O 0.390 0.352 0.458 1
O26 O 0.414 0.088 0.142 1
O27 O 0.414 0.088 0.358 1
O28 O 0.497 0.334 0.621 1
O29 O 0.497 0.334 0.879 1
O30 O 0.499 0.699 0.750 1
O31 O 0.501 0.301 0.250 1
O32 O 0.503 0.666 0.121 1
O33 O 0.503 0.666 0.379 1
O34 O 0.586 0.912 0.642 1
O35 O 0.586 0.912 0.858 1
O36 O 0.610 0.648 0.542 1
O37 O 0.610 0.648 0.958 1
O38 O 0.648 0.039 0.042 1
O39 O 0.648 0.039 0.458 1
O40 O 0.666 0.163 0.621 1
O41 O 0.666 0.163 0.879 1
O42 O 0.673 0.586 0.142 1
O43 O 0.673 0.586 0.358 1
O44 O 0.699 0.200 0.250 1
O45 O 0.735 0.826 0.088 1
O46 O 0.735 0.826 0.412 1
O47 O 0.735 0.855 0.750 1
O48 O 0.800 0.499 0.250 1
O49 O 0.826 0.091 0.588 1
O50 O 0.826 0.091 0.912 1
O51 O 0.837 0.503 0.621 1
O52 O 0.837 0.503 0.879 1
O53 O 0.855 0.121 0.250 1
O54 O 0.879 0.735 0.250 1
O55 O 0.909 0.735 0.588 1
O56 O 0.909 0.735 0.912 1
O57 O 0.912 0.327 0.142 1
O58 O 0.912 0.327 0.358 1
O59 O 0.961 0.610 0.042 1
O60 O 0.961 0.610 0.458 1
```

[2]
# Na4CrO3

An optimized crystal structure of Na4CrO3 (PBE with a Hubbard U, Materials Project).

Calculated values
symmetry: Cc
energy of formation: -1558.5 meV per atom
E: -38.2 eV per formula unit
size of the total moment: 8.00 μB per cell
relative energy among the computed polymorphs: 0.0 meV/atom

Cell and atoms, written as CIF:
```
data_Na4CrO3
_space_group_name_H-M_alt 'P 1'
_space_group_IT_number 1
_space_group_name_Hall 'P 1'
_cell_length_a 6.406
_cell_length_b 6.406
_cell_length_c 8.261
_cell_angle_alpha 110.48
_cell_angle_beta 110.48
_cell_angle_gamma 54.23
loop_
_atom_site_label
_atom_site_type_symbol
_atom_site_fract_x
_atom_site_fract_y
_atom_site_fract_z
_atom_site_occupancy
Na1 Na 0.023 0.599 0.093 1
Na2 Na 0.079 0.392 0.405 1
Na3 Na 0.143 0.857 0.500 1
Na4 Na 0.240 0.554 0.799 1
Na5 Na 0.392 0.079 0.905 1
Na6 Na 0.554 0.240 0.299 1
Na7 Na 0.599 0.023 0.593 1
Na8 Na 0.857 0.143 0.000 1
Cr1 Cr 0.491 0.767 0.186 1
Cr2 Cr 0.767 0.491 0.686 1
O1 O 0.129 0.235 0.643 1
O2 O 0.235 0.129 0.143 1
O3 O 0.459 0.464 0.088 1
O4 O 0.464 0.459 0.588 1
O5 O 0.794 0.807 0.332 1
O6 O 0.807 0.794 0.832 1
```

[3]
# Na2Cr4O13

An optimized crystal structure of Na2Cr4O13 (PBE with a Hubbard U, Materials Project).

Calculated values
symmetry: Pc
energy of formation: -1684.7 meV per atom
E: -120.7 eV per formula unit
size of the total moment: 0.00 μB per cell
relative energy among the computed polymorphs: 0.0 meV/atom

Cell and atoms, written as CIF:
```
data_Na2Cr4O13
_space_group_name_H-M_alt 'P 1'
_space_group_IT_number 1
_space_group_name_Hall 'P 1'
_cell_length_a 8.826
_cell_length_b 7.283
_cell_length_c 9.002
_cell_angle_alpha 90.00
_cell_angle_beta 91.83
_cell_angle_gamma 90.00
loop_
_atom_site_label
_atom_site_type_symbol
_atom_site_fract_x
_atom_site_fract_y
_atom_site_fract_z
_atom_site_occupancy
Na1 Na 0.000 0.090 0.000 1
Na2 Na 0.000 0.910 0.500 1
Na3 Na 0.751 0.392 0.356 1
Na4 Na 0.751 0.608 0.856 1
Cr1 Cr 0.054 0.418 0.642 1
Cr2 Cr 0.054 0.582 0.142 1
Cr3 Cr 0.375 0.059 0.775 1
Cr4 Cr 0.375 0.941 0.275 1
Cr5 Cr 0.385 0.400 0.017 1
Cr6 Cr 0.385 0.600 0.517 1
Cr7 Cr 0.723 0.081 0.729 1
Cr8 Cr 0.723 0.919 0.229 1
O1 O 0.030 0.261 0.515 1
O2 O 0.030 0.739 0.015 1
O3 O 0.071 0.323 0.806 1
O4 O 0.071 0.677 0.306 1
O5 O 0.223 0.445 0.114 1
O6 O 0.223 0.555 0.614 1
O7 O 0.237 0.084 0.255 1
O8 O 0.237 0.916 0.755 1
O9 O 0.359 0.172 0.948 1
O10 O 0.359 0.828 0.448 1
O11 O 0.369 0.204 0.643 1
O12 O 0.369 0.796 0.143 1
O13 O 0.405 0.460 0.383 1
O14 O 0.405 0.540 0.883 1
O15 O 0.538 0.405 0.119 1
O16 O 0.538 0.595 0.619 1
O17 O 0.551 0.049 0.273 1
O18 O 0.551 0.951 0.773 1
O19 O 0.712 0.148 0.558 1
O20 O 0.712 0.852 0.058 1
O21 O 0.739 0.256 0.841 1
O22 O 0.739 0.744 0.341 1
O23 O 0.868 0.057 0.253 1
O24 O 0.868 0.943 0.753 1
O25 O 0.908 0.442 0.137 1
O26 O 0.908 0.558 0.637 1
```

Q: Number 2 is which compound?
A: Na4CrO3

Q: The lowest energy of formation belongs to which entry?
A: Na2Cr4O13

Q: Which value of size of the total moment does entry 3 give?
A: 0.00 μB per cell

Q: Look up the size of the total moment of the first one.
A: 11.35 μB per cell